Crystalline KCoP2H5O9 at its relaxed geometry. Source: the Materials Project, functional GGA+U.

Structure (CIF):
```
data_KCoP2H5O9
_cell_length_a 15.649
_cell_length_b 6.536
_cell_length_c 7.847
_cell_angle_alpha 90.00
_cell_angle_beta 90.00
_cell_angle_gamma 90.00
_symmetry_space_group_name_H-M 'P n a 21'
_symmetry_Int_Tables_number 33
loop_
_symmetry_equiv_pos_as_xyz
'x,y,z'
'-x,-y,z+1/2'
'-x+1/2,y+1/2,z+1/2'
'x+1/2,-y+1/2,z'
loop_
_atom_site_label
_atom_site_type_symbol
_atom_site_fract_x
_atom_site_fract_y
_atom_site_fract_z
K1 K 0.035 0.119 0.000
Co1 Co 0.195 0.938 0.502
P1 P 0.136 0.633 0.810
P2 P 0.138 0.642 0.189
H1 H 0.010 0.496 0.245
H2 H 0.099 0.282 0.604
H3 H 0.100 0.280 0.403
H4 H 0.232 0.097 0.898
H5 H 0.233 0.099 0.108
O1 O 0.074 0.451 0.780
O2 O 0.076 0.453 0.220
O3 O 0.103 0.190 0.504
O4 O 0.113 0.726 0.001
O5 O 0.116 0.814 0.693
O6 O 0.116 0.816 0.308
O7 O 0.218 0.176 0.003
O8 O 0.229 0.568 0.191
O9 O 0.229 0.568 0.813
```

Calculated values
Formation enthalpy at 0 K   -1.99 eV per atom